# 1
Below is crystalline SiO2 at its relaxed geometry, with properties calculated at the GGA-PBE level.

- E_tot: -806.37 eV per cell
- Crystal system: hexagonal
- Symmetry: P6/mmm, No. 191
- Calculated formation energy: -943 kJ/mol of formula units

abc: 14.2806 14.2806 11.4689
angles: 90.00 90.00 120.00
Positions (direct):
Si 0.0000 0.3898 0.1400
Si 0.0000 0.3898 0.8600
Si 0.0000 0.6102 0.1400
Si 0.0000 0.6102 0.8600
Si 0.1306 0.2612 0.5000
Si 0.1306 0.8694 0.5000
Si 0.2088 0.4175 0.2733
Si 0.2088 0.4175 0.7267
Si 0.2088 0.7912 0.2733
Si 0.2088 0.7912 0.7267
Si 0.2612 0.1306 0.5000
Si 0.3333 0.6667 0.3595
Si 0.3333 0.6667 0.6405
Si 0.3898 0.0000 0.1400
Si 0.3898 0.0000 0.8600
Si 0.3898 0.3898 0.1400
Si 0.3898 0.3898 0.8600
Si 0.4175 0.2088 0.2733
Si 0.4175 0.2088 0.7267
Si 0.5825 0.7912 0.2733
Si 0.5825 0.7912 0.7267
Si 0.6102 0.0000 0.1400
Si 0.6102 0.0000 0.8600
Si 0.6102 0.6102 0.1400
Si 0.6102 0.6102 0.8600
Si 0.6667 0.3333 0.3595
Si 0.6667 0.3333 0.6405
Si 0.7388 0.8694 0.5000
Si 0.7912 0.2088 0.2733
Si 0.7912 0.2088 0.7267
Si 0.7912 0.5825 0.2733
Si 0.7912 0.5825 0.7267
Si 0.8694 0.1306 0.5000
Si 0.8694 0.7388 0.5000
O 0.0000 0.1848 0.5000
O 0.0000 0.3769 0.0000
O 0.0000 0.5000 0.1749
O 0.0000 0.5000 0.8251
O 0.0000 0.6231 0.0000
O 0.0000 0.8152 0.5000
O 0.1060 0.3934 0.1936
O 0.1060 0.3934 0.8064
O 0.1060 0.7126 0.1936
O 0.1060 0.7126 0.8064
O 0.1691 0.3382 0.3856
O 0.1691 0.3382 0.6144
O 0.1691 0.8309 0.3856
O 0.1691 0.8309 0.6144
O 0.1848 0.0000 0.5000
O 0.1848 0.1848 0.5000
O 0.2715 0.5430 0.3136
O 0.2715 0.5430 0.6864
O 0.2715 0.7285 0.3136
O 0.2715 0.7285 0.6864
O 0.2874 0.3934 0.1936
O 0.2874 0.3934 0.8064
O 0.2874 0.8940 0.1936
O 0.2874 0.8940 0.8064
O 0.3333 0.6667 0.5000
O 0.3382 0.1691 0.3856
O 0.3382 0.1691 0.6144
O 0.3769 0.0000 0.0000
O 0.3769 0.3769 0.0000
O 0.3934 0.1060 0.1936
O 0.3934 0.1060 0.8064
O 0.3934 0.2874 0.1936
O 0.3934 0.2874 0.8064
O 0.4570 0.7285 0.3136
O 0.4570 0.7285 0.6864
O 0.5000 0.0000 0.1749
O 0.5000 0.0000 0.8251
O 0.5000 0.5000 0.1749
O 0.5000 0.5000 0.8251
O 0.5430 0.2715 0.3136
O 0.5430 0.2715 0.6864
O 0.6066 0.7126 0.1936
O 0.6066 0.7126 0.8064
O 0.6066 0.8940 0.1936
O 0.6066 0.8940 0.8064
O 0.6231 0.0000 0.0000
O 0.6231 0.6231 0.0000
O 0.6618 0.8309 0.3856
O 0.6618 0.8309 0.6144
O 0.6667 0.3333 0.5000
O 0.7126 0.1060 0.1936
O 0.7126 0.1060 0.8064
O 0.7126 0.6066 0.1936
O 0.7126 0.6066 0.8064
O 0.7285 0.2715 0.3136
O 0.7285 0.2715 0.6864
O 0.7285 0.4570 0.3136
O 0.7285 0.4570 0.6864
O 0.8152 0.0000 0.5000
O 0.8152 0.8152 0.5000
O 0.8309 0.1691 0.3856
O 0.8309 0.1691 0.6144
O 0.8309 0.6618 0.3856
O 0.8309 0.6618 0.6144
O 0.8940 0.2874 0.1936
O 0.8940 0.2874 0.8064
O 0.8940 0.6066 0.1936
O 0.8940 0.6066 0.8064

---

# 2
Below is crystalline SiO2 at its relaxed geometry, with properties calculated at the GGA-PBE level.

- E_tot: -1420.49 eV per cell
- Crystal system: tetragonal
- Symmetry: P4_2/ncm, No. 138
- Calculated formation energy: -939 kJ/mol of formula units

abc: 10.0692 10.0692 34.4840
angles: 90.00 90.00 90.00
Positions (direct):
Si 0.0449 0.0449 0.1635
Si 0.0449 0.4551 0.6635
Si 0.0459 0.0459 0.9572
Si 0.0459 0.4541 0.4572
Si 0.0951 0.0951 0.7722
Si 0.0951 0.4049 0.2722
Si 0.0993 0.7016 0.4032
Si 0.0993 0.7984 0.9032
Si 0.1086 0.1086 0.2459
Si 0.1086 0.3914 0.7459
Si 0.1441 0.1441 0.5652
Si 0.1441 0.3559 0.0652
Si 0.2016 0.5993 0.5968
Si 0.2016 0.9007 0.0968
Si 0.2500 0.2500 0.4898
Si 0.2500 0.2500 0.9898
Si 0.2984 0.5993 0.0968
Si 0.2984 0.9007 0.5968
Si 0.3559 0.1441 0.0652
Si 0.3559 0.3559 0.5652
Si 0.3914 0.1086 0.7459
Si 0.3914 0.3914 0.2459
Si 0.4007 0.7016 0.9032
Si 0.4007 0.7984 0.4032
Si 0.4049 0.0951 0.2722
Si 0.4049 0.4049 0.7722
Si 0.4541 0.0459 0.4572
Si 0.4541 0.4541 0.9572
Si 0.4551 0.0449 0.6635
Si 0.4551 0.4551 0.1635
Si 0.5449 0.5449 0.8365
Si 0.5449 0.9551 0.3365
Si 0.5459 0.5459 0.0428
Si 0.5459 0.9541 0.5428
Si 0.5951 0.5951 0.2278
Si 0.5951 0.9049 0.7278
Si 0.5993 0.2016 0.5968
Si 0.5993 0.2984 0.0968
Si 0.6086 0.6086 0.7541
Si 0.6086 0.8914 0.2541
Si 0.6441 0.6441 0.4348
Si 0.6441 0.8559 0.9348
Si 0.7016 0.0993 0.4032
Si 0.7016 0.4007 0.9032
Si 0.7500 0.7500 0.0102
Si 0.7500 0.7500 0.5102
Si 0.7984 0.0993 0.9032
Si 0.7984 0.4007 0.4032
Si 0.8559 0.6441 0.9348
Si 0.8559 0.8559 0.4348
Si 0.8914 0.6086 0.2541
Si 0.8914 0.8914 0.7541
Si 0.9007 0.2016 0.0968
Si 0.9007 0.2984 0.5968
Si 0.9049 0.5951 0.7278
Si 0.9049 0.9049 0.2278
Si 0.9541 0.5459 0.5428
Si 0.9541 0.9541 0.0428
Si 0.9551 0.5449 0.3365
Si 0.9551 0.9551 0.8365
O 0.0000 0.0000 0.0000
O 0.0000 0.5000 0.5000
O 0.0030 0.0030 0.7439
O 0.0030 0.4970 0.2439
O 0.0060 0.6803 0.9211
O 0.0060 0.8197 0.4211
O 0.0349 0.6525 0.3624
O 0.0349 0.8475 0.8624
O 0.0603 0.0603 0.8173
O 0.0603 0.4397 0.3173
O 0.0632 0.2496 0.2642
O 0.0632 0.2504 0.7642
O 0.0796 0.6062 0.5661
O 0.0796 0.8938 0.0661
O 0.1062 0.5796 0.4339
O 0.1062 0.9204 0.9339
O 0.1216 0.1216 0.1987
O 0.1216 0.3784 0.6987
O 0.1525 0.5349 0.6376
O 0.1525 0.9651 0.1376
O 0.1567 0.1567 0.5179
O 0.1567 0.3433 0.0179
O 0.1591 0.1591 0.9618
O 0.1591 0.3409 0.4618
O 0.1803 0.5060 0.0789
O 0.1803 0.9940 0.5789
O 0.2496 0.0632 0.2642
O 0.2504 0.0632 0.7642
O 0.2500 0.2500 0.0844
O 0.2500 0.2500 0.5844
O 0.2504 0.4368 0.2642
O 0.2496 0.4368 0.7642
O 0.2500 0.7500 0.1047
O 0.2500 0.7500 0.3953
O 0.2500 0.7500 0.6047
O 0.2500 0.7500 0.8953
O 0.3197 0.5060 0.5789
O 0.3197 0.9940 0.0789
O 0.3409 0.1591 0.4618
O 0.3409 0.3409 0.9618
O 0.3433 0.1567 0.0179
O 0.3433 0.3433 0.5179
O 0.3475 0.5349 0.1376
O 0.3475 0.9651 0.6376
O 0.3784 0.1216 0.6987
O 0.3784 0.3784 0.1987
O 0.3938 0.5796 0.9339
O 0.3938 0.9204 0.4339
O 0.4204 0.6062 0.0661
O 0.4204 0.8938 0.5661
O 0.4368 0.2504 0.2642
O 0.4368 0.2496 0.7642
O 0.4397 0.0603 0.3173
O 0.4397 0.4397 0.8173
O 0.4651 0.6525 0.8624
O 0.4651 0.8475 0.3624
O 0.4940 0.6803 0.4211
O 0.4940 0.8197 0.9211
O 0.4970 0.0030 0.2439
O 0.4970 0.4970 0.7439
O 0.5000 0.0000 0.5000
O 0.5000 0.5000 0.0000
O 0.5030 0.5030 0.2561
O 0.5030 0.9970 0.7561
O 0.5060 0.1803 0.0789
O 0.5060 0.3197 0.5789
O 0.5349 0.1525 0.6376
O 0.5349 0.3475 0.1376
O 0.5603 0.5603 0.1827
O 0.5603 0.9397 0.6827
O 0.5632 0.7504 0.2358
O 0.5632 0.7496 0.7358
O 0.5796 0.1062 0.4339
O 0.5796 0.3938 0.9339
O 0.6062 0.0796 0.5661
O 0.6062 0.4204 0.0661
O 0.6216 0.6216 0.8013
O 0.6216 0.8784 0.3013
O 0.6525 0.0349 0.3624
O 0.6525 0.4651 0.8624
O 0.6567 0.6567 0.4821
O 0.6567 0.8433 0.9821
O 0.6591 0.6591 0.0382
O 0.6591 0.8409 0.5382
O 0.6803 0.0060 0.9211
O 0.6803 0.4940 0.4211
O 0.7500 0.2500 0.1047
O 0.7500 0.2500 0.3953
O 0.7500 0.2500 0.6047
O 0.7500 0.2500 0.8953
O 0.7504 0.5632 0.2358
O 0.7496 0.5632 0.7358
O 0.7500 0.7500 0.4156
O 0.7500 0.7500 0.9156
O 0.7496 0.9368 0.2358
O 0.7504 0.9368 0.7358
O 0.8197 0.0060 0.4211
O 0.8197 0.4940 0.9211
O 0.8409 0.6591 0.5382
O 0.8409 0.8409 0.0382
O 0.8433 0.6567 0.9821
O 0.8433 0.8433 0.4821
O 0.8475 0.0349 0.8624
O 0.8475 0.4651 0.3624
O 0.8784 0.6216 0.3013
O 0.8784 0.8784 0.8013
O 0.8938 0.0796 0.0661
O 0.8938 0.4204 0.5661
O 0.9204 0.1062 0.9339
O 0.9204 0.3938 0.4339
O 0.9368 0.7496 0.2358
O 0.9368 0.7504 0.7358
O 0.9397 0.5603 0.6827
O 0.9397 0.9397 0.1827
O 0.9651 0.1525 0.1376
O 0.9651 0.3475 0.6376
O 0.9940 0.1803 0.5789
O 0.9940 0.3197 0.0789
O 0.9970 0.5030 0.7561
O 0.9970 0.9970 0.2561

---

calculated formation energy of number 1 (SiO2)? -943 kJ/mol of formula units

---

Among the records above, which one has the highest E_tot? number 1

---

Among the records above, which one has the lowest E_tot? number 2